Density functional theory data (PBE) for a relaxed structure of Cu4Bi3PbSe4O4.

- Energy of formation from the pure elements: -0.850 eV/atom
- Density: 8.32 g cm⁻³
- Total magnetic moment: 0.0 μB per formula unit

Lattice parameters (Å, degrees): 10.1101 10.1101 10.1101 147.75 147.75 46.25
Closest atoms and distances in Å follow each position.
Element x y z (fractional)
Se 0.1680 0.1680 0.0000  4 Cu 2.50
Se 0.6666 0.6666 0.0000  4 Cu 2.52
Se 0.8305 0.3305 0.5000  4 Cu 2.49
Se 0.3305 0.8305 0.5000  4 Cu 2.49
Bi 0.0663 0.5663 0.5000  4 O 2.31
Bi 0.5663 0.0663 0.5000  4 O 2.31
Bi 0.9380 0.9380 0.0000  4 O 2.28
O 0.2470 0.2470 0.4886  3 Bi 2.28-2.31, 1 Pb 2.50
O 0.7584 0.2470 0.0000  3 Bi 2.28-2.31, 1 Pb 2.50
O 0.2470 0.7584 0.0000  3 Bi 2.28-2.31, 1 Pb 2.50
O 0.7584 0.7584 0.5114  3 Bi 2.28-2.31, 1 Pb 2.50
Cu 0.5000 0.9995 0.0000  4 Se 2.49-2.52
Cu 0.9995 0.5000 0.0000  4 Se 2.49-2.52
Cu 0.5000 0.5000 0.5005  4 Se 2.49-2.52
Cu 0.9995 0.9995 0.4995  4 Se 2.49-2.52
Pb 0.4239 0.4239 0.0000  4 O 2.50